[1]
First-principles (GGA-PBE) data for a relaxed structure of Nd2MgCu4O8, as listed in the Materials Project database.

a b c (Å): 7.104 7.104 5.780
angles (deg): 113.96 113.96 109.82
Fractional coordinates of all 15 atoms:
Nd 0.000 0.000 0.000
Nd 0.750 0.250 0.500
Mg 0.500 0.500 0.000
Cu 0.312 0.641 0.251
Cu 0.359 0.688 0.749
Cu 0.390 0.060 0.702
Cu 0.940 0.610 0.298
O 0.026 0.656 0.054
O 0.028 0.398 0.372
O 0.151 0.306 0.899
O 0.344 0.974 0.946
O 0.407 0.252 0.558
O 0.602 0.972 0.628
O 0.694 0.849 0.101
O 0.748 0.593 0.442

Values from the calculation:
ΔE_f = -1.9468 eV per atom
Density = 5.94 Mg/m³
Space group = C2
Total magnetic moment = 0.00 Bohr magnetons per cell



[2]
First-principles (GGA-PBE) data for a relaxed structure of TePd3, as listed in the Materials Project database.

a b c (Å): 4.886 4.886 4.886
angles (deg): 128.84 128.84 75.26
Fractional coordinates of all 4 atoms:
Te 0.000 0.000 0.000
Pd 0.250 0.750 0.500
Pd 0.500 0.500 0.000
Pd 0.750 0.250 0.500

Values from the calculation:
ΔE_f = -0.2264 eV per atom
Density = 10.77 Mg/m³
Distance to the lowest polymorph of the same formula = 0.009 eV/atom
Space group = I4/mmm



[3]
First-principles (GGA-PBE) data for a relaxed structure of Nb3AlN4, as listed in the Materials Project database.

a b c (Å): 10.772 10.772 10.772
angles (deg): 16.08 16.08 16.08
Fractional coordinates of all 8 atoms:
Nb 0.000 0.000 0.000
Nb 0.248 0.248 0.248
Nb 0.752 0.752 0.752
Al 0.500 0.500 0.500
N 0.132 0.132 0.132
N 0.376 0.376 0.376
N 0.624 0.624 0.624
N 0.868 0.868 0.868

Values from the calculation:
ΔE_f = -1.0794 eV per atom
Density = 7.19 Mg/m³
Space group = R-3m
Total magnetic moment = 0.02 Bohr magnetons per cell



Number 3 is which compound?
Nb3AlN4



Please write out number 1 again, unchanged.
First-principles (GGA-PBE) data for a relaxed structure of Nd2MgCu4O8, as listed in the Materials Project database.

a b c (Å): 7.104 7.104 5.780
angles (deg): 113.96 113.96 109.82
Fractional coordinates of all 15 atoms:
Nd 0.000 0.000 0.000
Nd 0.750 0.250 0.500
Mg 0.500 0.500 0.000
Cu 0.312 0.641 0.251
Cu 0.359 0.688 0.749
Cu 0.390 0.060 0.702
Cu 0.940 0.610 0.298
O 0.026 0.656 0.054
O 0.028 0.398 0.372
O 0.151 0.306 0.899
O 0.344 0.974 0.946
O 0.407 0.252 0.558
O 0.602 0.972 0.628
O 0.694 0.849 0.101
O 0.748 0.593 0.442

Values from the calculation:
ΔE_f = -1.9468 eV per atom
Density = 5.94 Mg/m³
Space group = C2
Total magnetic moment = 0.00 Bohr magnetons per cell



What is the density in the third record?
7.19 Mg/m³